LiCr2P2O8 after structural relaxation. Source: Materials Project, functional GGA+U.

Geometry as POSCAR:
```
LiCr2P2O8
1.0
8.098 0.000 0.000
0.000 5.159 0.000
0.000 4.955 9.296
Li Cr P O
2 4 4 16
Direct
0.804 0.960 0.103
0.196 0.960 0.603
0.417 0.038 0.977
0.583 0.038 0.477
0.914 0.484 0.529
0.086 0.484 0.029
0.477 0.291 0.145
0.523 0.291 0.645
0.957 0.082 0.358
0.043 0.082 0.858
0.309 0.261 0.073
0.403 0.191 0.559
0.467 0.070 0.305
0.495 0.604 0.619
0.505 0.604 0.119
0.533 0.070 0.805
0.597 0.191 0.059
0.691 0.261 0.573
0.789 0.903 0.421
0.920 0.845 0.965
0.967 0.134 0.200
0.038 0.375 0.864
0.962 0.375 0.364
0.033 0.134 0.700
0.080 0.845 0.465
0.211 0.903 0.921
```

Output
- Energy relative to the lowest polymorph listed for this composition: 60 meV/atom
- Electronic total energy: -0.5333 Ry/atom
- Size of the total moment: 14.0 μB/cell